DFT (GGA-PBE) results for a geometry-optimized Ni12P5 structure.

abc: 6.601 6.601 6.601
angles: 98.37 98.37 135.15
Atoms (fractional coordinates):
Ni  0.570  0.868  0.936
Ni  0.932  0.634  0.064
Ni  0.430  0.132  0.064
Ni  0.868  0.932  0.298
Ni  0.132  0.068  0.702
Ni  0.940  0.366  0.306
Ni  0.634  0.940  0.574
Ni  0.366  0.430  0.298
Ni  0.634  0.570  0.702
Ni  0.060  0.634  0.694
Ni  0.366  0.060  0.426
Ni  0.068  0.366  0.936
P  0.413  0.805  0.219
P  0.000  0.000  0.000
P  0.587  0.195  0.781
P  0.805  0.587  0.392
P  0.195  0.413  0.608

Properties
DFT total energy (eV per atom): -6.148
Calculated density (g/cm3): 7.61